Computed, not measured: Sm4Mg3Co2 after structural relaxation at the r2SCAN level of DFT.

* DFT formation energy: -0.08 eV/atom

Geometry as CIF:
```
data_Sm4Mg3Co2
_symmetry_space_group_name_H-M 'P 1 2/m 1'
_symmetry_Int_Tables_number 10
_cell_length_a 7.731
_cell_length_b 3.671
_cell_length_c 8.444
_cell_angle_alpha 90.00
_cell_angle_beta 109.31
_cell_angle_gamma 90.00
loop_
_symmetry_equiv_pos_as_xyz
'x,y,z'
'-x,-y,-z'
'-x,y,-z'
'x,-y,z'
loop_
_atom_site_label
_atom_site_type_symbol
_atom_site_fract_x
_atom_site_fract_y
_atom_site_fract_z
Sm1 Sm 0.094 0.000 0.222
Sm2 Sm 0.393 0.000 0.681
Mg1 Mg 0.000 0.500 0.500
Mg2 Mg 0.297 0.500 0.003
Co1 Co 0.353 0.500 0.399
```


Computed, not measured: TbMgCo4 after structural relaxation at the r2SCAN level of DFT.

* DFT formation energy: -0.08 eV/atom

Geometry as CIF:
```
data_TbMgCo4
_symmetry_space_group_name_H-M 'F -4 3 m'
_symmetry_Int_Tables_number 216
_symmetry_space_group_name_Hall 'F -4 2 3'
_cell_length_a 7.009
_cell_length_b 7.009
_cell_length_c 7.009
_cell_angle_alpha 90.00
_cell_angle_beta 90.00
_cell_angle_gamma 90.00
loop_
_atom_site_label
_atom_site_type_symbol
_atom_site_fract_x
_atom_site_fract_y
_atom_site_fract_z
Tb1 Tb 0.000 0.000 0.000
Mg1 Mg 0.250 0.250 0.750
Co1 Co 0.125 0.125 0.375
```


Computed, not measured: Tb4Mg3Co2 after structural relaxation at the r2SCAN level of DFT.

* DFT formation energy: -0.12 eV/atom

Geometry as CIF:
```
data_Tb4Mg3Co2
_symmetry_space_group_name_H-M 'P 1 2/m 1'
_symmetry_Int_Tables_number 10
_cell_length_a 7.593
_cell_length_b 3.609
_cell_length_c 8.380
_cell_angle_alpha 90.00
_cell_angle_beta 109.17
_cell_angle_gamma 90.00
loop_
_symmetry_equiv_pos_as_xyz
'x,y,z'
'-x,-y,-z'
'-x,y,-z'
'x,-y,z'
loop_
_atom_site_label
_atom_site_type_symbol
_atom_site_fract_x
_atom_site_fract_y
_atom_site_fract_z
Tb1 Tb 0.095 0.000 0.224
Tb2 Tb 0.394 0.000 0.678
Mg1 Mg 0.000 0.500 0.500
Mg2 Mg 0.295 0.500 0.001
Co1 Co 0.352 0.500 0.398
```


Computed, not measured: Mn3Co2O8 after structural relaxation at the r2SCAN level of DFT.

* DFT formation energy: -1.78 eV/atom

Geometry as CIF:
```
data_Mn3Co2O8
_symmetry_space_group_name_H-M 'P m n 21'
_symmetry_Int_Tables_number 31
_cell_length_a 5.713
_cell_length_b 4.928
_cell_length_c 9.073
_cell_angle_alpha 90.00
_cell_angle_beta 90.00
_cell_angle_gamma 90.00
loop_
_symmetry_equiv_pos_as_xyz
'x,y,z'
'-x+1/2,-y,z+1/2'
'-x,y,z'
'x+1/2,-y,z+1/2'
loop_
_atom_site_label
_atom_site_type_symbol
_atom_site_fract_x
_atom_site_fract_y
_atom_site_fract_z
Mn1 Mn 0.000 0.160 0.000
Mn2 Mn 0.240 0.352 0.498
Co1 Co 0.000 0.831 0.278
Co2 Co 0.000 0.848 0.679
O1 O 0.000 0.186 0.395
O2 O 0.000 0.481 0.615
O3 O 0.000 0.489 0.108
O4 O 0.000 0.824 0.891
O5 O 0.218 0.964 0.127
O6 O 0.246 0.323 0.892
```